# Mg14NbSb

A relaxed Mg14NbSb crystal (PBE, the Materials Project database).

a = 10.2785 Å, b = 6.2348 Å, c = 11.0273 Å
α = 90.00°, β = 90.00°, γ = 90.00°
Closest atoms and distances in Å follow each position.
Space group Amm2 (No. 38)
Asymmetric unit:
Mg (0.0000, 0.0000, 0.9998)  12 Mg 3.12-3.17
Mg (0.0000, 0.0000, 0.5000)  12 Mg 3.12-3.17
Mg (0.0000, 0.2503, 0.2502)  12 Mg 3.11-3.18
Mg (0.2474, 0.0000, 0.1676)  11 Mg 3.12-3.19, 1 Sb 3.17
Mg (0.2520, 0.2449, 0.4172)  10 Mg 3.05-3.22, 1 Nb 3.10, 1 Sb 3.15
Mg (0.2527, 0.0000, 0.6633)  11 Mg 3.11-3.22, 1 Nb 3.13
Mg (0.5000, 0.2484, 0.7492)  8 Mg 3.10-3.16, 2 Sb 3.14-3.20, 2 Nb 3.16-3.17
Nb (0.5000, 0.0000, 0.4983)  10 Mg 3.10-3.17, 2 Sb 3.12
Sb (0.5000, 0.0000, 0.0030)  2 Nb 3.12, 10 Mg 3.14-3.20

Values from the calculation:
Energy relative to the lowest polymorph listed for this composition in eV/f.u.: 0.14
Volume in Å³ per cell: 706.7
Uncorrected energy in eV per cell: -72.126
Formation enthalpy at 0 K in eV per atom: 0.02
Spin magnetization in μB/cell: 1.25